Record 1
# KFe3H6S2O14 GGA+U optimized geometry
# VASP energy   -4.919 eV/atom
# Energy above the most stable polymorph in this dataset   929.2 meV per atom
data_KFe3H6S2O14
_cell_length_a 9.3824
_cell_length_b 9.3824
_cell_length_c 20.0353
_cell_angle_alpha 90.00
_cell_angle_beta 90.00
_cell_angle_gamma 120.00
_space_group_name_H-M_alt 'R -3 m'
_space_group_IT_number 166
_space_group_name_Hall '-R 3 2"'
loop_
_atom_site_label
_atom_site_type_symbol
_atom_site_fract_x
_atom_site_fract_y
_atom_site_fract_z
K1 K 0.0000 0.0000 0.0000
Fe1 Fe 0.0000 0.5000 0.5000
H1 H 0.0338 0.5169 0.0128
S1 S 0.0000 0.0000 0.2631
O1 O 0.0000 0.0000 0.3348
O2 O 0.0880 0.1760 0.7612
O3 O 0.0964 0.1928 0.8903

Record 2
# KTaWO7 GGA+U optimized geometry
# VASP energy   -7.379 eV/atom
data_KTaWO7
_cell_length_a 7.466
_cell_length_b 7.520
_cell_length_c 10.547
_cell_angle_alpha 90.00
_cell_angle_beta 90.00
_cell_angle_gamma 90.00
_space_group_name_H-M_alt 'I m m a'
_space_group_IT_number 74
_space_group_name_Hall '-I 2b 2'
loop_
_atom_site_label
_atom_site_type_symbol
_atom_site_fract_x
_atom_site_fract_y
_atom_site_fract_z
K1 K 0.250 0.250 0.250
Ta1 Ta 0.000 0.000 0.000
W1 W 0.250 0.250 0.750
O1 O 0.000 0.000 0.500
O2 O 0.000 0.250 0.062
O3 O 0.000 0.250 0.693
O4 O 0.185 0.068 0.872

Record 3
# Li2Fe5O10 GGA+U optimized geometry
# VASP energy   -6.096 eV/atom
data_Li2Fe5O10
_cell_length_a 5.141
_cell_length_b 5.159
_cell_length_c 7.858
_cell_angle_alpha 71.63
_cell_angle_beta 70.97
_cell_angle_gamma 78.65
_space_group_name_H-M_alt 'P -1'
_space_group_IT_number 2
loop_
_space_group_symop_operation_xyz
'x,y,z'
'-x,-y,-z'
loop_
_atom_site_label
_atom_site_type_symbol
_atom_site_fract_x
_atom_site_fract_y
_atom_site_fract_z
Li1 Li 0.009 0.265 0.425
Fe1 Fe 0.000 0.500 0.000
Fe2 Fe 0.490 0.812 0.887
Fe3 Fe 0.491 0.614 0.310
O1 O 0.254 0.694 0.773
O2 O 0.262 0.534 0.136
O3 O 0.272 0.411 0.519
O4 O 0.281 0.947 0.329
O5 O 0.289 0.175 0.930

Record 4
# NaLaNi4O12 GGA+U optimized geometry
# VASP energy   -4.724 eV/atom
data_NaLaNi4O12
_cell_length_a 7.728
_cell_length_b 7.567
_cell_length_c 7.552
_cell_angle_alpha 90.00
_cell_angle_beta 90.00
_cell_angle_gamma 90.00
_space_group_name_H-M_alt 'A m m 2'
_space_group_IT_number 38
loop_
_space_group_symop_operation_xyz
'x,y,z'
'-x,-y,z'
'-x,y,z'
'x,-y,z'
'x,y+1/2,z+1/2'
'-x,-y+1/2,z+1/2'
'-x,y+1/2,z+1/2'
'x,-y+1/2,z+1/2'
loop_
_atom_site_label
_atom_site_type_symbol
_atom_site_fract_x
_atom_site_fract_y
_atom_site_fract_z
Na1 Na 0.000 0.000 0.000
La1 La 0.500 0.000 0.523
Ni1 Ni 0.243 0.246 0.262
O1 O 0.000 0.223 0.781
O2 O 0.212 0.000 0.224
O3 O 0.258 0.217 0.513
O4 O 0.276 0.000 0.767
O5 O 0.500 0.223 0.266

Record 5
# Li9Mn2Co5O16 GGA+U optimized geometry
# VASP energy   -5.831 eV/atom
# Energy above the most stable polymorph in this dataset   24.0 meV per atom
data_Li9Mn2Co5O16
_cell_length_a 5.905
_cell_length_b 6.444
_cell_length_c 7.879
_cell_angle_alpha 87.56
_cell_angle_beta 75.62
_cell_angle_gamma 76.69
_space_group_name_H-M_alt 'P 1'
_space_group_IT_number 1
loop_
_space_group_symop_operation_xyz
'x,y,z'
loop_
_atom_site_label
_atom_site_type_symbol
_atom_site_fract_x
_atom_site_fract_y
_atom_site_fract_z
Li1 Li 0.000 0.000 0.000
Li2 Li 0.007 0.504 0.511
Li3 Li 0.250 0.268 0.751
Li4 Li 0.263 0.752 0.245
Li5 Li 0.512 0.508 0.506
Li6 Li 0.527 0.991 0.999
Li7 Li 0.748 0.752 0.240
Li8 Li 0.754 0.258 0.753
Li9 Li 0.881 0.632 0.877
Mn1 Mn 0.129 0.378 0.122
Mn2 Mn 0.132 0.876 0.631
Co1 Co 0.380 0.628 0.877
Co2 Co 0.383 0.128 0.375
Co3 Co 0.632 0.381 0.123
Co4 Co 0.636 0.879 0.633
Co5 Co 0.885 0.130 0.378
O1 O 0.093 0.671 0.060
O2 O 0.094 0.177 0.558
O3 O 0.175 0.081 0.196
O4 O 0.191 0.585 0.680
O5 O 0.319 0.923 0.795
O6 O 0.321 0.418 0.291
O7 O 0.424 0.327 0.941
O8 O 0.431 0.836 0.443
O9 O 0.573 0.669 0.065
O10 O 0.594 0.171 0.555
O11 O 0.668 0.590 0.696
O12 O 0.677 0.085 0.197
O13 O 0.838 0.944 0.803
O14 O 0.839 0.427 0.312
O15 O 0.946 0.324 0.966
O16 O 0.948 0.837 0.460

Record 6
# Eu2Mo3O12 GGA+U optimized geometry
# VASP energy   -7.387 eV/atom
# Energy above the most stable polymorph in this dataset   552.4 meV per atom
data_Eu2Mo3O12
_cell_length_a 10.614
_cell_length_b 10.620
_cell_length_c 10.843
_cell_angle_alpha 90.00
_cell_angle_beta 90.00
_cell_angle_gamma 90.00
_space_group_name_H-M_alt 'P b a 2'
_space_group_IT_number 32
loop_
_space_group_symop_operation_xyz
'x,y,z'
'-x,-y,z'
'-x+1/2,y+1/2,z'
'x+1/2,-y+1/2,z'
loop_
_atom_site_label
_atom_site_type_symbol
_atom_site_fract_x
_atom_site_fract_y
_atom_site_fract_z
Eu1 Eu 0.006 0.191 0.000
Eu2 Eu 0.190 0.503 0.472
Mo1 Mo 0.003 0.793 0.379
Mo2 Mo 0.207 0.513 0.092
Mo3 Mo 0.242 0.757 0.736
O1 O 0.006 0.372 0.429
O2 O 0.021 0.197 0.217
O3 O 0.116 0.386 0.030
O4 O 0.117 0.119 0.455
O5 O 0.119 0.824 0.829
O6 O 0.129 0.995 0.046
O7 O 0.146 0.181 0.835
O8 O 0.155 0.663 0.038
O9 O 0.156 0.850 0.417
O10 O 0.174 0.646 0.631
O11 O 0.185 0.380 0.648
O12 O 0.195 0.516 0.256

no.,formation enthalpy at 0 K (eV/atom)
1,-0.763
2,-2.248
3,-1.538
4,-0.816
5,-1.840
6,-1.824